No. 1
VASP calculation (PBE-GGA) on an optimized crystal structure of Sr2P3Pb3O13.

a b c (Å): 9.897 9.897 7.426
angles (deg): 90.00 90.00 120.00
Fractional coordinates of all 42 atoms:
O: 0.535 0.407 0.750
O: 0.000 0.000 0.250
O: 0.143 0.493 0.750
O: 0.266 0.355 0.081
Pb: 0.240 0.234 0.750
P: 0.624 0.589 0.750
O: 0.645 0.912 0.081
O: 0.507 0.650 0.750
Pb: 0.234 0.994 0.250
O: 0.857 0.507 0.250
O: 0.493 0.350 0.250
P: 0.966 0.376 0.750
O: 0.355 0.088 0.581
O: 0.407 0.872 0.250
O: 0.912 0.266 0.919
O: 0.734 0.645 0.919
P: 0.376 0.411 0.250
O: 0.000 0.000 0.750
P: 0.411 0.034 0.750
O: 0.355 0.088 0.919
Sr: 0.667 0.333 0.005
O: 0.088 0.734 0.419
Pb: 0.994 0.760 0.750
Sr: 0.333 0.667 0.505
Pb: 0.766 0.006 0.750
P: 0.589 0.966 0.250
O: 0.088 0.734 0.081
Sr: 0.667 0.333 0.495
O: 0.465 0.593 0.250
O: 0.266 0.355 0.419
Sr: 0.333 0.667 0.995
O: 0.650 0.143 0.250
O: 0.734 0.645 0.581
Pb: 0.760 0.766 0.250
O: 0.645 0.912 0.419
O: 0.350 0.857 0.750
Pb: 0.006 0.240 0.250
O: 0.128 0.535 0.250
O: 0.872 0.465 0.750
O: 0.912 0.266 0.581
P: 0.034 0.624 0.250
O: 0.593 0.128 0.750

For the total magnetization, the calculation gives 1.0 μB/f.u. The space group is P6_3/m (176). For the formation energy, the calculation gives -55.666 eV/f.u. The density comes out at 5.8 g/cm3. The value obtained for the calculated total energy is -283.6 eV per cell.



No. 2
VASP calculation (PBE-GGA) on an optimized crystal structure of CsSeBr3.

a b c (Å): 9.322 6.047 7.684
angles (deg): 80.63 90.00 90.00
Fractional coordinates of all 10 atoms:
Br: 0.477 0.720 0.296
Br: 0.250 0.863 0.896
Br: 0.750 0.137 0.104
Br: 0.023 0.720 0.296
Se: 0.500 0.000 0.000
Br: 0.523 0.280 0.704
Br: 0.977 0.280 0.704
Cs: 0.750 0.797 0.624
Se: 0.000 0.000 0.000
Cs: 0.250 0.203 0.376

For the total magnetization, the calculation gives 0.0 μB/f.u. The space group is P2_1/m (11). For the formation energy, the calculation gives -5.594 eV/f.u. The density comes out at 3.5 g/cm3. The value obtained for the calculated total energy is -26.6 eV per cell.



No. 3
VASP calculation (PBE-GGA) on an optimized crystal structure of Ta4Te16PtI8.

a b c (Å): 6.716 9.735 17.239
angles (deg): 73.83 79.57 81.01
Fractional coordinates of all 29 atoms:
Te: 0.254 0.867 0.268
Te: 0.299 0.991 0.665
Te: 0.175 0.221 0.313
Te: 0.210 0.353 0.138
Te: 0.682 0.311 0.245
Te: 0.825 0.779 0.687
Te: 0.780 0.223 0.057
I: 0.210 0.830 0.446
Ta: 0.486 0.114 0.198
Ta: 0.986 0.104 0.195
Te: 0.220 0.777 0.943
Te: 0.790 0.647 0.862
I: 0.699 0.580 0.060
Te: 0.800 0.890 0.157
Te: 0.683 0.016 0.914
I: 0.790 0.170 0.554
Te: 0.200 0.110 0.843
Te: 0.701 0.009 0.335
I: 0.229 0.331 0.669
I: 0.771 0.669 0.331
Te: 0.317 0.984 0.086
I: 0.301 0.420 0.940
Ta: 0.514 0.886 0.802
I: 0.354 0.292 0.443
I: 0.646 0.708 0.557
Te: 0.746 0.133 0.732
Pt: 0.000 0.000 0.000
Ta: 0.014 0.896 0.805
Te: 0.318 0.689 0.755

For the total magnetization, the calculation gives 0.0 μB/f.u. The space group is P-1 (2). For the formation energy, the calculation gives -8.559 eV/f.u. The density comes out at 6.2 g/cm3. The value obtained for the calculated total energy is -121.5 eV per cell.